(1)
DFT (GGA+U) results for a relaxed structure of Mg3Fe2O5.

CIF file:
```
data_Mg3Fe2O5
_chemical_formula_sum 'Mg6 Fe4 O10'
_cell_length_a 5.3050
_cell_length_b 5.3091
_cell_length_c 7.9925
_cell_angle_alpha 71.65
_cell_angle_beta 75.84
_cell_angle_gamma 98.90
_space_group_name_H-M_alt 'P 1'
_space_group_IT_number 1
_space_group_name_Hall 'P 1'
loop_
_atom_site_label
_atom_site_type_symbol
_atom_site_fract_x
_atom_site_fract_y
_atom_site_fract_z
_atom_site_occupancy
O1 O 0.5619 0.6147 0.6480 1
O2 O 0.4600 0.4013 0.3522 1
O3 O 0.9600 0.4013 0.8522 1
O4 O 0.3411 0.1977 0.0470 1
O5 O 0.6505 0.7996 0.9496 1
O6 O 0.1505 0.7996 0.4495 1
O7 O 0.7393 0.9842 0.2511 1
O8 O 0.8410 0.1977 0.5469 1
O9 O 0.2394 0.9842 0.7511 1
O10 O 0.0619 0.6147 0.1479 1
Fe1 Fe 0.5964 0.2008 0.7978 1
Fe2 Fe 0.0964 0.2008 0.2978 1
Fe3 Fe 0.7046 0.3982 0.1012 1
Fe4 Fe 0.2046 0.3982 0.6012 1
Mg1 Mg 0.8077 0.6052 0.3998 1
Mg2 Mg 0.9006 0.7995 0.6996 1
Mg3 Mg 0.3077 0.6052 0.8998 1
Mg4 Mg 0.4006 0.7995 0.1996 1
Mg5 Mg 0.4936 0.9937 0.4992 1
Mg6 Mg 0.9936 0.9937 0.9993 1
```

**Energy**: -0.2305 hartree per atom
**ΔE_f**: -2334 kJ/mol of formula units

(2)
DFT (GGA+U) results for a relaxed structure of Sr2MgFeOsO6.

CIF file:
```
data_Sr2MgFeOsO6
_chemical_formula_sum 'Sr2 Mg1 Fe1 Os1 O6'
_cell_length_a 6.2887
_cell_length_b 6.3145
_cell_length_c 5.7508
_cell_angle_alpha 62.62
_cell_angle_beta 63.08
_cell_angle_gamma 53.52
_space_group_name_H-M_alt 'P 1'
_space_group_IT_number 1
_space_group_name_Hall 'P 1'
loop_
_atom_site_label
_atom_site_type_symbol
_atom_site_fract_x
_atom_site_fract_y
_atom_site_fract_z
_atom_site_occupancy
Sr1 Sr 0.8247 0.8247 0.6753 1
Sr2 Sr 0.1753 0.1753 0.3247 1
Fe1 Fe 0.0000 0.0000 0.0000 1
O1 O 0.2509 0.7491 0.7535 1
O2 O 0.2913 0.2913 0.7087 1
O3 O 0.7087 0.7087 0.2913 1
O4 O 0.7491 0.2509 0.2465 1
O5 O 0.2509 0.7491 0.2409 1
O6 O 0.7491 0.2509 0.7591 1
Mg1 Mg 0.5000 0.5000 0.0000 1
Os1 Os 0.5000 0.5000 0.5000 1
```

**Energy**: -0.2357 hartree per atom
**ΔE_f**: -2178 kJ/mol of formula units
**Space-group type**: No. 12

(3)
DFT (GGA+U) results for a relaxed structure of Sr2MgFeOsO6.

CIF file:
```
data_Sr2MgFeOsO6
_chemical_formula_sum 'Sr2 Mg1 Fe1 Os1 O6'
_cell_length_a 5.9344
_cell_length_b 5.9351
_cell_length_c 6.3138
_cell_angle_alpha 61.96
_cell_angle_beta 61.93
_cell_angle_gamma 59.99
_space_group_name_H-M_alt 'P 1'
_space_group_IT_number 1
_space_group_name_Hall 'P 1'
loop_
_atom_site_label
_atom_site_type_symbol
_atom_site_fract_x
_atom_site_fract_y
_atom_site_fract_z
_atom_site_occupancy
O1 O 0.2518 0.2521 0.7885 1
O2 O 0.7190 0.2645 0.2977 1
O3 O 0.7075 0.2520 0.7883 1
O4 O 0.7190 0.7188 0.2977 1
O5 O 0.2645 0.7189 0.2978 1
O6 O 0.2518 0.7076 0.7885 1
Sr1 Sr 0.6927 0.6923 0.9228 1
Sr2 Sr 0.2800 0.2802 0.1597 1
Fe1 Fe 0.0833 0.0833 0.7502 1
Os1 Os 0.4875 0.4876 0.5373 1
Mg1 Mg 0.9119 0.9118 0.2644 1
```

**Energy**: -0.2370 hartree per atom
**ΔE_f**: -2214 kJ/mol of formula units
**Space-group type**: No. 160

(4)
DFT (GGA+U) results for a relaxed structure of MgFe3PO7.

CIF file:
```
data_MgFe3PO7
_chemical_formula_sum 'Mg1 Fe3 P1 O7'
_cell_length_a 5.6076
_cell_length_b 5.3224
_cell_length_c 5.4295
_cell_angle_alpha 100.21
_cell_angle_beta 107.20
_cell_angle_gamma 101.77
_space_group_name_H-M_alt 'P 1'
_space_group_IT_number 1
_space_group_name_Hall 'P 1'
loop_
_atom_site_label
_atom_site_type_symbol
_atom_site_fract_x
_atom_site_fract_y
_atom_site_fract_z
_atom_site_occupancy
P1 P 0.0034 0.9943 0.0118 1
O1 O 0.8927 0.8241 0.1795 1
O2 O 0.2389 0.2197 0.2226 1
O3 O 0.0871 0.8414 0.7981 1
O4 O 0.8197 0.1417 0.8621 1
O5 O 0.4528 0.7938 0.3998 1
O6 O 0.7943 0.3446 0.4139 1
O7 O 0.3554 0.3498 0.7415 1
Fe1 Fe 0.1693 0.5866 0.5009 1
Fe2 Fe 0.5369 0.5197 0.1440 1
Fe3 Fe 0.5332 0.1718 0.5396 1
Mg1 Mg 0.9920 0.0880 0.5493 1
```

**Energy**: -0.2457 hartree per atom
**ΔE_f**: -2388 kJ/mol of formula units
**Space-group type**: No. 1

(5)
DFT (GGA+U) results for a relaxed structure of MgFe3P4O14.

CIF file:
```
data_MgFe3P4O14
_chemical_formula_sum 'Mg2 Fe6 P8 O28'
_cell_length_a 7.5402
_cell_length_b 7.3330
_cell_length_c 9.7367
_cell_angle_alpha 68.06
_cell_angle_beta 90.00
_cell_angle_gamma 90.00
_space_group_name_H-M_alt 'P 1'
_space_group_IT_number 1
_space_group_name_Hall 'P 1'
loop_
_atom_site_label
_atom_site_type_symbol
_atom_site_fract_x
_atom_site_fract_y
_atom_site_fract_z
_atom_site_occupancy
O1 O 0.6088 0.3167 0.3737 1
O2 O 0.6044 0.6574 0.8359 1
O3 O 0.3800 0.2004 0.6060 1
O4 O 0.9585 0.6367 0.6652 1
O5 O 0.2078 0.0301 0.8561 1
O6 O 0.2922 0.0301 0.3561 1
O7 O 0.2718 0.6266 0.8879 1
O8 O 0.1200 0.2004 0.1060 1
O9 O 0.0859 0.0291 0.6143 1
O10 O 0.7718 0.3734 0.6121 1
O11 O 0.8800 0.7996 0.8940 1
O12 O 0.4585 0.3633 0.8348 1
O13 O 0.5859 0.9709 0.8857 1
O14 O 0.8956 0.6574 0.3359 1
O15 O 0.2282 0.6266 0.3879 1
O16 O 0.7922 0.9699 0.1439 1
O17 O 0.7282 0.3734 0.1121 1
O18 O 0.3956 0.3426 0.1641 1
O19 O 0.1044 0.3426 0.6641 1
O20 O 0.8912 0.3167 0.8737 1
O21 O 0.7078 0.9699 0.6439 1
O22 O 0.5415 0.6367 0.1652 1
O23 O 0.0415 0.3633 0.3348 1
O24 O 0.1088 0.6833 0.1263 1
O25 O 0.3912 0.6833 0.6263 1
O26 O 0.9141 0.9709 0.3857 1
O27 O 0.4141 0.0291 0.1143 1
O28 O 0.6200 0.7996 0.3940 1
P1 P 0.2022 0.1393 0.6861 1
P2 P 0.7022 0.8607 0.8139 1
P3 P 0.5827 0.4228 0.2020 1
P4 P 0.9173 0.4228 0.7020 1
P5 P 0.4173 0.5772 0.7980 1
P6 P 0.7978 0.8607 0.3139 1
P7 P 0.0827 0.5772 0.2980 1
P8 P 0.2978 0.1393 0.1861 1
Fe1 Fe 0.8660 0.1846 0.4853 1
Fe2 Fe 0.5000 0.0000 0.5000 1
Fe3 Fe 0.0000 0.0000 0.0000 1
Fe4 Fe 0.1340 0.8154 0.5147 1
Fe5 Fe 0.3660 0.8154 0.0147 1
Fe6 Fe 0.6340 0.1846 0.9853 1
Mg1 Mg 0.5000 0.5000 0.5000 1
Mg2 Mg 0.0000 0.5000 0.0000 1
```

**Energy**: -0.2608 hartree per atom
**ΔE_f**: -5265 kJ/mol of formula units
**Space-group type**: No. 14

(6)
DFT (GGA+U) results for a relaxed structure of MgFe3PO7.

CIF file:
```
data_MgFe3PO7
_chemical_formula_sum 'Mg1 Fe3 P1 O7'
_cell_length_a 5.4899
_cell_length_b 5.3961
_cell_length_c 5.4906
_cell_angle_alpha 99.18
_cell_angle_beta 104.82
_cell_angle_gamma 99.12
_space_group_name_H-M_alt 'P 1'
_space_group_IT_number 1
_space_group_name_Hall 'P 1'
loop_
_atom_site_label
_atom_site_type_symbol
_atom_site_fract_x
_atom_site_fract_y
_atom_site_fract_z
_atom_site_occupancy
Fe1 Fe 0.5354 0.1507 0.5364 1
Fe2 Fe 0.5057 0.5392 0.1320 1
Fe3 Fe 0.1312 0.5422 0.5048 1
O1 O 0.4322 0.7837 0.4324 1
O2 O 0.7518 0.4094 0.4267 1
O3 O 0.8419 0.8293 0.1244 1
O4 O 0.4250 0.4093 0.7521 1
O5 O 0.8343 0.1398 0.8341 1
O6 O 0.2281 0.2191 0.2271 1
O7 O 0.1256 0.8301 0.8405 1
Mg1 Mg 0.6965 0.6742 0.6983 1
P1 P 0.0178 0.0109 0.0168 1
```

**Energy**: -0.2450 hartree per atom
**ΔE_f**: -2365 kJ/mol of formula units
**Space-group type**: No. 1

(7)
DFT (GGA+U) results for a relaxed structure of MgFePO4.

CIF file:
```
data_MgFePO4
_chemical_formula_sum 'Mg1 Fe1 P1 O4'
_cell_length_a 5.1330
_cell_length_b 5.1049
_cell_length_c 5.1334
_cell_angle_alpha 59.83
_cell_angle_beta 90.03
_cell_angle_gamma 59.84
_space_group_name_H-M_alt 'P 1'
_space_group_IT_number 1
_space_group_name_Hall 'P 1'
loop_
_atom_site_label
_atom_site_type_symbol
_atom_site_fract_x
_atom_site_fract_y
_atom_site_fract_z
_atom_site_occupancy
Mg1 Mg 0.4999 0.9999 0.5002 1
P1 P 0.2500 0.5001 0.7499 1
O1 O 0.3225 0.7447 0.7851 1
O2 O 0.2157 0.2548 0.0671 1
O3 O 0.5294 0.2558 0.6770 1
O4 O 0.9326 0.7449 0.4705 1
Fe1 Fe 0.0000 0.9997 0.0002 1
```

**Energy**: -0.2427 hartree per atom
**ΔE_f**: -1540 kJ/mol of formula units
**Space-group type**: No. 82

(8)
DFT (GGA+U) results for a relaxed structure of MgFePO5.

CIF file:
```
data_MgFePO5
_chemical_formula_sum 'Mg2 Fe2 P2 O10'
_cell_length_a 5.3708
_cell_length_b 5.3713
_cell_length_c 7.0232
_cell_angle_alpha 105.03
_cell_angle_beta 105.03
_cell_angle_gamma 99.26
_space_group_name_H-M_alt 'P 1'
_space_group_IT_number 1
_space_group_name_Hall 'P 1'
loop_
_atom_site_label
_atom_site_type_symbol
_atom_site_fract_x
_atom_site_fract_y
_atom_site_fract_z
_atom_site_occupancy
Fe1 Fe 0.0137 0.4872 0.0118 1
Fe2 Fe 0.9980 0.5066 0.5116 1
O1 O 0.0930 0.4037 0.7549 1
O2 O 0.6219 0.2266 0.4162 1
O3 O 0.3280 0.8353 0.1466 1
O4 O 0.3031 0.2853 0.0968 1
O5 O 0.3489 0.8145 0.6386 1
O6 O 0.7305 0.1147 0.9146 1
O7 O 0.8079 0.8036 0.6029 1
O8 O 0.1226 0.1588 0.3667 1
O9 O 0.6704 0.6151 0.8660 1
O10 O 0.9075 0.5822 0.2533 1
Mg1 Mg 0.7527 0.8851 0.3221 1
Mg2 Mg 0.3901 0.2408 0.8191 1
P1 P 0.6423 0.8295 0.7555 1
P2 P 0.3372 0.1298 0.2562 1
```

**Energy**: -0.2512 hartree per atom
**ΔE_f**: -1944 kJ/mol of formula units
**Space-group type**: No. 1

(9)
DFT (GGA+U) results for a relaxed structure of MgFe3PO7.

CIF file:
```
data_MgFe3PO7
_chemical_formula_sum 'Mg1 Fe3 P1 O7'
_cell_length_a 5.3919
_cell_length_b 5.5018
_cell_length_c 5.4995
_cell_angle_alpha 106.25
_cell_angle_beta 98.75
_cell_angle_gamma 99.05
_space_group_name_H-M_alt 'P 1'
_space_group_IT_number 1
_space_group_name_Hall 'P 1'
loop_
_atom_site_label
_atom_site_type_symbol
_atom_site_fract_x
_atom_site_fract_y
_atom_site_fract_z
_atom_site_occupancy
O1 O 0.3824 0.7693 0.4360 1
O2 O 0.3819 0.4351 0.7710 1
O3 O 0.8392 0.1070 0.8294 1
O4 O 0.2058 0.8645 0.8654 1
O5 O 0.2026 0.2379 0.2398 1
O6 O 0.8373 0.8281 0.1066 1
O7 O 0.7634 0.4416 0.4425 1
P1 P 0.0227 0.0105 0.0113 1
Fe1 Fe 0.5252 0.5170 0.1575 1
Fe2 Fe 0.1191 0.5278 0.5301 1
Fe3 Fe 0.5225 0.1563 0.5175 1
Mg1 Mg 0.5610 0.7929 0.7932 1
```

**Energy**: -0.2456 hartree per atom
**ΔE_f**: -2383 kJ/mol of formula units
**Space-group type**: No. 1